Compound: TiCo2
Source: Materials Project
Functional: GGA-PBE
Structure: optimized geometry

Output
formation energy from the elements: -0.3024 eV per atom

The structure in POSCAR format:
```
TiCo2
1.0
0.000 3.320 3.320
3.320 0.000 3.320
3.320 3.320 0.000
Co Ti
4 2
direct
0.125 0.625 0.125
0.125 0.125 0.625
0.125 0.125 0.125
0.625 0.125 0.125
0.750 0.750 0.750
0.500 0.500 0.500
```

***

Compound: Tl3Co
Source: Materials Project
Functional: GGA-PBE
Structure: optimized geometry

Output
formation energy from the elements: 0.5097 eV per atom

The structure in POSCAR format:
```
Tl3Co
1.0
-6.360 -0.018 -5.500
4.587 -7.643 -0.549
-1.838 -1.264 2.129
Tl Co
6 2
direct
0.603 0.819 0.244
0.833 0.163 0.750
0.188 0.409 0.256
0.169 0.834 0.250
0.813 0.594 0.744
0.394 0.181 0.756
0.329 0.669 0.750
0.670 0.331 0.251
```

***

Compound: TmCo2
Source: Materials Project
Functional: GGA-PBE
Structure: optimized geometry

Output
formation energy from the elements: -0.2639 eV per atom

The structure in POSCAR format:
```
TmCo2
1.0
1.088 -4.118 -2.665
-0.151 -4.520 2.187
-3.638 -3.251 -1.199
Co Tm
4 2
direct
0.125 0.125 0.625
0.125 0.625 0.125
0.125 0.125 0.125
0.625 0.125 0.125
0.500 0.500 0.500
0.750 0.750 0.750
```

***

Compound: Tm2Co7
Source: Materials Project
Functional: GGA-PBE
Structure: optimized geometry

Output
formation energy from the elements: -0.1871 eV per atom

The structure in POSCAR format:
```
Tm2Co7
1.0
-0.034 2.108 -4.455
2.428 4.224 -0.746
10.659 -4.088 -4.742
Co Tm
14 4
direct
0.722 0.722 0.835
0.278 0.278 0.165
0.610 0.109 0.671
0.390 0.891 0.329
0.500 0.000 0.000
0.610 0.610 0.671
0.611 0.611 0.167
0.109 0.610 0.671
0.891 0.390 0.329
0.500 0.500 0.000
0.500 0.500 0.500
0.389 0.389 0.833
0.390 0.390 0.329
0.000 0.500 0.000
0.851 0.851 0.446
0.149 0.149 0.554
0.948 0.948 0.155
0.052 0.052 0.845
```

***

Compound: Tm4Co
Source: Materials Project
Functional: GGA-PBE
Structure: optimized geometry

Output
formation energy from the elements: 0.3012 eV per atom

The structure in POSCAR format:
```
Tm4Co
1.0
-6.878 -0.349 2.716
-2.292 5.024 4.931
-5.013 5.085 -1.953
Tm Co
8 2
direct
0.864 0.407 0.864
0.386 0.386 0.386
0.864 0.864 0.407
0.864 0.864 0.864
0.843 0.386 0.386
0.407 0.864 0.864
0.386 0.386 0.843
0.386 0.843 0.386
0.250 0.250 0.250
0.000 0.000 0.000
```

***

Compound: UCo5
Source: Materials Project
Functional: GGA-PBE
Structure: optimized geometry

Output
formation energy from the elements: -0.0261 eV per atom

The structure in POSCAR format:
```
UCo5
1.0
12.032 -2.381 0.000
12.032 2.381 0.000
11.560 0.000 4.097
Co U
15 3
direct
0.063 0.554 0.554
0.500 0.000 0.000
0.536 0.536 0.536
0.000 0.000 0.500
0.554 0.554 0.063
0.779 0.779 0.779
0.464 0.464 0.464
0.221 0.221 0.221
0.446 0.446 0.937
0.000 0.500 0.000
0.554 0.063 0.554
0.937 0.446 0.446
0.667 0.667 0.667
0.333 0.333 0.333
0.446 0.937 0.446
0.901 0.901 0.901
0.099 0.099 0.099
0.000 0.000 0.000
```

***

Compound: U6Co
Source: Materials Project
Functional: GGA-PBE
Structure: optimized geometry

Output
formation energy from the elements: -0.0359 eV per atom

The structure in POSCAR format:
```
U6Co
1.0
6.085 -1.320 -4.477
-2.134 4.264 6.007
0.187 -6.705 3.718
U Co
12 2
direct
0.783 0.895 0.678
0.406 0.906 0.312
0.605 0.717 0.322
0.717 0.395 0.112
0.283 0.605 0.888
0.906 0.594 0.500
0.217 0.105 0.322
0.395 0.283 0.678
0.895 0.217 0.112
0.594 0.094 0.688
0.105 0.783 0.888
0.094 0.406 0.500
0.750 0.750 0.000
0.250 0.250 0.000
```

***

Compound: UCo
Source: Materials Project
Functional: GGA-PBE
Structure: optimized geometry

Output
formation energy from the elements: -0.2682 eV per atom

The structure in POSCAR format:
```
UCo
1.0
0.684 0.503 5.400
-5.275 -0.934 -1.089
3.007 -4.179 -1.836
U Co
4 4
direct
0.000 0.071 0.500
0.500 0.000 0.071
0.071 0.500 0.000
0.429 0.429 0.429
0.000 0.592 0.500
0.592 0.500 0.000
0.500 0.000 0.592
0.908 0.908 0.908
```

***

Number 1: theoretical density 7.52 g/cm³. Number 2: theoretical density 10.28 g/cm³. Number 3: theoretical density 10.62 g/cm³. Number 4: theoretical density 9.85 g/cm³. Number 5: theoretical density 8.50 g/cm³. Number 6: theoretical density 11.31 g/cm³. Number 7: theoretical density 18.35 g/cm³. Number 8: theoretical density 15.69 g/cm³.